1.
# Na2Mg4SiGe4S11O48

An optimized crystal structure of Na2Mg4SiGe4S11O48 (PBE-GGA, Materials Project).

Geometry as CIF:
```
data_Na2Mg4SiGe4S11O48
_chemical_formula_sum 'Na6 Mg12 Si3 Ge12 S33 O144'
_space_group_name_H-M_alt 'P 1'
_space_group_IT_number 1
_cell_length_a 8.495
_cell_length_b 14.700
_cell_length_c 22.166
_cell_angle_alpha 90.12
_cell_angle_beta 90.18
_cell_angle_gamma 90.17
loop_
_space_group_symop_operation_xyz
'x,y,z'
loop_
_atom_site_label
_atom_site_fract_x
_atom_site_fract_y
_atom_site_fract_z
Na1 0.000 0.000 0.000
Na2 0.000 0.003 0.495
Na3 0.004 0.338 0.834
Na4 0.492 0.837 0.331
Na5 0.493 0.499 0.994
Na6 0.494 0.499 0.498
Mg1 0.000 0.001 0.144
Mg2 0.001 0.336 0.975
Mg3 0.493 0.501 0.851
Mg4 0.495 0.173 0.521
Mg5 0.495 0.501 0.348
Mg6 0.495 0.501 0.647
Mg7 0.496 0.502 0.146
Mg8 0.994 0.005 0.647
Mg9 0.995 0.670 0.809
Mg10 0.996 0.001 0.849
Mg11 0.996 0.334 0.475
Mg12 0.999 0.001 0.351
Si1 0.137 0.814 0.416
Si2 0.204 0.836 0.079
Si3 0.349 0.316 0.914
Ge1 0.000 0.337 0.681
Ge2 0.003 0.671 0.017
Ge3 0.007 0.673 0.311
Ge4 0.485 0.840 0.478
Ge5 0.486 0.836 0.180
Ge6 0.487 0.837 0.977
Ge7 0.491 0.174 0.811
Ge8 0.492 0.836 0.689
Ge9 0.493 0.172 0.313
Ge10 0.494 0.177 0.016
Ge11 0.996 0.335 0.182
Ge12 0.998 0.670 0.517
S1 0.138 0.525 0.414
S2 0.139 0.481 0.080
S3 0.141 0.857 0.746
S4 0.142 0.192 0.080
S5 0.144 0.150 0.747
S6 0.202 0.503 0.746
S7 0.208 0.170 0.415
S8 0.284 0.337 0.580
S9 0.286 0.672 0.915
S10 0.292 0.005 0.248
S11 0.346 0.355 0.247
S12 0.349 0.650 0.248
S13 0.350 0.692 0.580
S14 0.353 0.980 0.582
S15 0.354 0.024 0.915
S16 0.636 0.983 0.079
S17 0.639 0.315 0.415
S18 0.640 0.026 0.416
S19 0.640 0.649 0.746
S20 0.642 0.692 0.080
S21 0.645 0.355 0.747
S22 0.699 0.005 0.748
S23 0.706 0.335 0.080
S24 0.708 0.670 0.415
S25 0.781 0.168 0.914
S26 0.781 0.834 0.580
S27 0.793 0.504 0.248
S28 0.845 0.814 0.916
S29 0.846 0.855 0.247
S30 0.847 0.151 0.247
S31 0.852 0.483 0.579
S32 0.853 0.192 0.581
S33 0.853 0.528 0.915
O1 0.058 0.767 0.476
O2 0.061 0.566 0.359
O3 0.062 0.572 0.074
O4 0.063 0.442 0.138
O5 0.063 0.911 0.411
O6 0.064 0.438 0.422
O7 0.069 0.103 0.089
O8 0.070 0.233 0.028
O9 0.071 0.113 0.802
O10 0.072 0.244 0.740
O11 0.074 0.898 0.692
O12 0.077 0.767 0.754
O13 0.097 0.415 0.738
O14 0.098 0.580 0.754
O15 0.098 0.924 0.085
O16 0.099 0.743 0.069
O17 0.109 0.089 0.406
O18 0.114 0.252 0.419
O19 0.114 0.425 0.028
O20 0.116 0.585 0.470
O21 0.119 0.748 0.356
O22 0.120 0.096 0.693
O23 0.124 0.251 0.137
O24 0.126 0.915 0.800
O25 0.163 0.319 0.917
O26 0.170 0.345 0.239
O27 0.173 0.659 0.253
O28 0.175 0.684 0.573
O29 0.182 0.985 0.587
O30 0.184 0.015 0.909
O31 0.184 0.354 0.528
O32 0.186 0.320 0.637
O33 0.190 0.653 0.971
O34 0.190 0.689 0.863
O35 0.200 0.986 0.302
O36 0.201 0.020 0.194
O37 0.295 0.482 0.800
O38 0.295 0.515 0.691
O39 0.307 0.187 0.357
O40 0.308 0.153 0.467
O41 0.309 0.493 0.090
O42 0.309 0.521 0.408
O43 0.314 0.814 0.139
O44 0.318 0.182 0.075
O45 0.320 0.158 0.754
O46 0.320 0.855 0.021
O47 0.321 0.849 0.739
O48 0.334 0.820 0.423
O49 0.366 0.410 0.301
O50 0.371 0.751 0.634
O51 0.373 0.596 0.194
O52 0.374 0.920 0.526
O53 0.378 0.081 0.971
O54 0.378 0.247 0.854
O55 0.379 0.256 0.576
O56 0.383 0.419 0.588
O57 0.388 0.756 0.923
O58 0.389 0.593 0.910
O59 0.397 0.087 0.257
O60 0.399 0.921 0.241
O61 0.419 0.262 0.256
O62 0.419 0.612 0.302
O63 0.420 0.393 0.194
O64 0.421 0.603 0.586
O65 0.424 0.744 0.242
O66 0.427 0.733 0.525
O67 0.428 0.067 0.574
O68 0.430 0.062 0.860
O69 0.430 0.936 0.636
O70 0.433 0.934 0.921
O71 0.437 0.412 0.910
O72 0.438 0.270 0.974
O73 0.558 0.073 0.071
O74 0.562 0.062 0.359
O75 0.562 0.613 0.800
O76 0.562 0.943 0.135
O77 0.563 0.745 0.738
O78 0.565 0.273 0.467
O79 0.565 0.404 0.406
O80 0.566 0.931 0.421
O81 0.567 0.733 0.025
O82 0.568 0.603 0.087
O83 0.574 0.392 0.693
O84 0.576 0.261 0.754
O85 0.594 0.086 0.757
O86 0.597 0.921 0.739
O87 0.605 0.414 0.089
O88 0.607 0.590 0.409
O89 0.609 0.249 0.076
O90 0.611 0.079 0.469
O91 0.613 0.596 0.691
O92 0.613 0.755 0.423
O93 0.617 0.256 0.357
O94 0.617 0.923 0.024
O95 0.624 0.751 0.135
O96 0.627 0.410 0.801
O97 0.666 0.844 0.239
O98 0.668 0.823 0.926
O99 0.670 0.161 0.257
O100 0.681 0.852 0.524
O101 0.682 0.495 0.587
O102 0.682 0.523 0.911
O103 0.682 0.818 0.634
O104 0.683 0.184 0.576
O105 0.684 0.148 0.970
O106 0.684 0.183 0.858
O107 0.699 0.487 0.302
O108 0.700 0.521 0.194
O109 0.791 0.021 0.694
O110 0.792 0.986 0.802
O111 0.803 0.318 0.137
O112 0.803 0.350 0.027
O113 0.803 0.651 0.471
O114 0.804 0.687 0.360
O115 0.805 0.993 0.087
O116 0.808 0.663 0.754
O117 0.809 0.016 0.407
O118 0.809 0.322 0.420
O119 0.814 0.684 0.072
O120 0.824 0.345 0.739
O121 0.864 0.910 0.302
O122 0.866 0.759 0.863
O123 0.867 0.095 0.193
O124 0.872 0.251 0.921
O125 0.876 0.251 0.638
O126 0.876 0.750 0.573
O127 0.878 0.428 0.526
O128 0.878 0.587 0.973
O129 0.879 0.087 0.908
O130 0.880 0.915 0.585
O131 0.896 0.421 0.239
O132 0.896 0.588 0.257
O133 0.915 0.761 0.255
O134 0.916 0.905 0.911
O135 0.917 0.893 0.193
O136 0.920 0.113 0.301
O137 0.920 0.245 0.239
O138 0.920 0.774 0.972
O139 0.922 0.438 0.923
O140 0.926 0.102 0.589
O141 0.926 0.569 0.862
O142 0.927 0.233 0.528
O143 0.927 0.446 0.635
O144 0.929 0.577 0.572
```

Calculated values
theoretical density: 2.85 g/cm3
E: -6.13 eV/atom
volume: 13.18 Å³ per atom
magnetization: 0.000 μB/atom


2.
# Na10Mg2Si7Ge6S5O48

An optimized crystal structure of Na10Mg2Si7Ge6S5O48 (PBE-GGA, Materials Project).

Geometry as CIF:
```
data_Na10Mg2Si7Ge6S5O48
_chemical_formula_sum 'Na30 Mg6 Si21 Ge18 S15 O144'
_space_group_name_H-M_alt 'P 1'
_space_group_IT_number 1
_cell_length_a 8.795
_cell_length_b 15.060
_cell_length_c 21.913
_cell_angle_alpha 90.65
_cell_angle_beta 90.21
_cell_angle_gamma 90.13
loop_
_space_group_symop_operation_xyz
'x,y,z'
loop_
_atom_site_label
_atom_site_fract_x
_atom_site_fract_y
_atom_site_fract_z
Na1 0.000 0.000 0.000
Na2 0.001 0.304 0.335
Na3 0.005 0.964 0.667
Na4 0.012 0.337 0.669
Na5 0.125 0.836 0.170
Na6 0.130 0.463 0.167
Na7 0.135 0.804 0.835
Na8 0.185 0.157 0.166
Na9 0.315 0.638 0.918
Na10 0.318 0.977 0.584
Na11 0.321 0.321 0.752
Na12 0.325 0.323 0.253
Na13 0.326 0.981 0.084
Na14 0.335 0.649 0.421
Na15 0.439 0.158 0.674
Na16 0.493 0.464 0.674
Na17 0.496 0.138 0.006
Na18 0.502 0.161 0.341
Na19 0.636 0.661 0.842
Na20 0.644 0.963 0.169
Na21 0.681 0.989 0.838
Na22 0.700 0.657 0.174
Na23 0.810 0.825 0.252
Na24 0.816 0.817 0.751
Na25 0.819 0.479 0.084
Na26 0.822 0.140 0.418
Na27 0.822 0.163 0.919
Na28 0.822 0.490 0.581
Na29 0.950 0.657 0.665
Na30 0.998 0.668 0.337
Mg1 0.312 0.316 0.104
Mg2 0.319 0.319 0.610
Mg3 0.326 0.990 0.438
Mg4 0.811 0.821 0.110
Mg5 0.812 0.491 0.938
Mg6 0.825 0.813 0.603
Si1 0.030 0.990 0.837
Si2 0.033 0.648 0.173
Si3 0.104 0.148 0.673
Si4 0.115 0.488 0.337
Si5 0.169 0.512 0.672
Si6 0.174 0.127 0.340
Si7 0.177 0.176 0.001
Si8 0.183 0.798 0.673
Si9 0.455 0.795 0.173
Si10 0.458 0.844 0.836
Si11 0.464 0.133 0.833
Si12 0.522 0.484 0.837
Si13 0.614 0.984 0.337
Si14 0.666 0.628 0.334
Si15 0.667 0.964 0.006
Si16 0.678 0.347 0.337
Si17 0.682 0.296 0.672
Si18 0.951 0.296 0.172
Si19 0.957 0.671 0.501
Si20 0.963 0.628 0.841
Si21 0.970 0.011 0.173
Ge1 0.276 0.660 0.567
Ge2 0.303 0.649 0.778
Ge3 0.306 0.654 0.071
Ge4 0.308 0.984 0.737
Ge5 0.322 0.652 0.275
Ge6 0.324 0.986 0.238
Ge7 0.326 0.315 0.896
Ge8 0.328 0.323 0.395
Ge9 0.328 0.993 0.933
Ge10 0.797 0.813 0.400
Ge11 0.812 0.825 0.896
Ge12 0.813 0.486 0.737
Ge13 0.820 0.157 0.776
Ge14 0.822 0.497 0.429
Ge15 0.832 0.481 0.237
Ge16 0.834 0.150 0.278
Ge17 0.836 0.156 0.570
Ge18 0.850 0.151 0.065
S1 0.026 0.316 0.504
S2 0.112 0.813 0.004
S3 0.173 0.841 0.337
S4 0.177 0.469 0.005
S5 0.463 0.509 0.169
S6 0.464 0.465 0.504
S7 0.474 0.174 0.506
S8 0.523 0.815 0.506
S9 0.533 0.155 0.170
S10 0.600 0.654 0.670
S11 0.610 0.321 0.004
S12 0.663 0.672 0.006
S13 0.673 0.008 0.668
S14 0.958 0.968 0.506
S15 0.965 0.341 0.838
O1 0.000 0.121 0.612
O2 0.000 0.811 0.669
O3 0.001 0.515 0.392
O4 0.006 0.829 0.339
O5 0.012 0.479 0.002
O6 0.015 0.460 0.276
O7 0.016 0.822 0.058
O8 0.021 0.802 0.946
O9 0.119 0.305 0.447
O10 0.119 0.324 0.558
O11 0.123 0.979 0.502
O12 0.131 0.964 0.778
O13 0.133 0.331 0.840
O14 0.134 0.003 0.898
O15 0.135 0.309 0.167
O16 0.141 0.620 0.113
O17 0.141 0.665 0.233
O18 0.143 0.649 0.831
O19 0.149 0.664 0.502
O20 0.158 0.005 0.181
O21 0.185 0.576 0.611
O22 0.195 0.070 0.398
O23 0.202 0.892 0.280
O24 0.208 0.234 0.666
O25 0.208 0.894 0.001
O26 0.209 0.731 0.006
O27 0.209 0.734 0.731
O28 0.213 0.059 0.678
O29 0.213 0.243 0.944
O30 0.214 0.421 0.062
O31 0.216 0.398 0.348
O32 0.218 0.577 0.329
O33 0.236 0.884 0.391
O34 0.239 0.415 0.664
O35 0.242 0.750 0.333
O36 0.244 0.428 0.950
O37 0.249 0.074 0.991
O38 0.256 0.207 0.063
O39 0.256 0.561 0.008
O40 0.256 0.758 0.610
O41 0.258 0.230 0.346
O42 0.261 0.556 0.728
O43 0.265 0.088 0.278
O44 0.267 0.896 0.679
O45 0.364 0.753 0.112
O46 0.367 0.888 0.894
O47 0.373 0.895 0.178
O48 0.383 0.229 0.841
O49 0.387 0.087 0.772
O50 0.388 0.421 0.448
O51 0.388 0.546 0.224
O52 0.390 0.744 0.829
O53 0.396 0.420 0.161
O54 0.398 0.556 0.507
O55 0.405 0.085 0.503
O56 0.405 0.398 0.845
O57 0.415 0.220 0.560
O58 0.419 0.576 0.827
O59 0.420 0.891 0.499
O60 0.428 0.729 0.230
O61 0.431 0.415 0.559
O62 0.432 0.233 0.166
O63 0.433 0.730 0.509
O64 0.435 0.072 0.173
O65 0.439 0.567 0.114
O66 0.444 0.912 0.779
O67 0.445 0.226 0.448
O68 0.449 0.070 0.893
O69 0.483 0.640 0.328
O70 0.484 0.978 0.993
O71 0.490 0.665 0.010
O72 0.494 0.332 0.347
O73 0.501 0.639 0.616
O74 0.503 0.309 0.665
O75 0.505 0.004 0.672
O76 0.511 0.965 0.273
O77 0.512 0.008 0.394
O78 0.513 0.305 0.948
O79 0.516 0.333 0.058
O80 0.517 0.665 0.728
O81 0.615 0.802 0.447
O82 0.621 0.829 0.558
O83 0.622 0.165 0.227
O84 0.626 0.141 0.115
O85 0.627 0.465 0.773
O86 0.627 0.508 0.893
O87 0.630 0.505 0.174
O88 0.631 0.469 0.496
O89 0.635 0.806 0.169
O90 0.644 0.834 0.845
O91 0.646 0.166 0.509
O92 0.652 0.140 0.828
O93 0.690 0.568 0.394
O94 0.691 0.725 0.949
O95 0.696 0.913 0.067
O96 0.699 0.571 0.672
O97 0.700 0.237 0.007
O98 0.700 0.410 0.278
O99 0.701 0.068 0.615
O100 0.702 0.732 0.665
O101 0.703 0.230 0.730
O102 0.714 0.397 0.997
O103 0.718 0.075 0.327
O104 0.723 0.717 0.061
O105 0.728 0.896 0.347
O106 0.729 0.584 0.003
O107 0.741 0.920 0.660
O108 0.743 0.044 0.726
O109 0.747 0.068 0.011
O110 0.748 0.246 0.330
O111 0.751 0.726 0.342
O112 0.760 0.587 0.275
O113 0.761 0.921 0.946
O114 0.766 0.395 0.678
O115 0.771 0.390 0.396
O116 0.775 0.253 0.612
O117 0.869 0.394 0.176
O118 0.871 0.589 0.778
O119 0.876 0.059 0.227
O120 0.878 0.250 0.109
O121 0.879 0.570 0.492
O122 0.879 0.731 0.847
O123 0.880 0.060 0.508
O124 0.891 0.925 0.451
O125 0.893 0.250 0.833
O126 0.899 0.706 0.565
O127 0.902 0.383 0.892
O128 0.902 0.913 0.167
O129 0.914 0.074 0.830
O130 0.920 0.900 0.843
O131 0.922 0.738 0.442
O132 0.922 0.921 0.562
O133 0.924 0.558 0.178
O134 0.926 0.394 0.499
O135 0.927 0.235 0.232
O136 0.929 0.734 0.165
O137 0.930 0.231 0.505
O138 0.936 0.392 0.780
O139 0.943 0.571 0.898
O140 0.956 0.070 0.108
O141 0.982 0.506 0.681
O142 0.990 0.166 0.004
O143 0.990 0.166 0.730
O144 0.993 0.148 0.331
```

Calculated values
theoretical density: 3.16 g/cm3
E: -6.31 eV/atom
volume: 12.40 Å³ per atom
magnetization: 0.000 μB/atom


Q: The highest E belongs to which entry?
A: Na2Mg4SiGe4S11O48